No. 1
Compound: CoHCO4
Source: Materials Project
Functional: PBE with a Hubbard U
Structure: relaxed

Cell and atoms, written as POSCAR:
```
CoHCO4
1.0
10.222 0.000 0.000
-5.111 8.853 0.000
0.000 0.000 6.198
Co H C O
6 6 6 24
Cartesian
-2.556 4.426 0.000
-2.556 4.426 3.099
5.111 0.000 0.000
5.111 0.000 3.099
2.556 4.426 0.000
2.556 4.426 3.099
-1.326 5.663 1.550
0.870 4.873 1.550
0.456 7.170 1.550
4.655 1.683 4.649
4.241 3.980 4.649
6.438 3.190 4.649
-1.841 6.761 4.649
0.176 3.878 4.649
3.447 1.787 1.550
1.665 7.066 4.649
4.935 4.975 1.550
6.952 2.092 1.550
-1.110 3.798 4.649
-1.459 4.683 1.550
-2.113 6.226 3.502
-2.113 6.226 5.796
0.776 3.910 3.502
0.776 3.910 5.796
-1.267 7.915 4.649
-0.326 7.775 1.550
2.734 2.860 1.550
3.774 1.283 0.403
3.774 1.283 2.697
1.785 5.248 1.550
3.326 3.605 4.649
1.337 7.569 3.502
1.337 7.569 5.796
2.377 5.992 4.649
5.437 1.078 4.649
6.378 0.937 1.550
4.336 4.943 0.403
4.336 4.943 2.697
7.224 2.627 0.403
7.224 2.627 2.697
6.570 4.170 4.649
6.221 5.055 1.550
```

Computed properties:
Space-group type: No. 176
Raw total energy, eV/atom: -6.476
Density, Mg/m³: 2.41

No. 2
Compound: Rb4V5CdClO15
Source: Materials Project
Functional: PBE with a Hubbard U
Structure: relaxed

Cell and atoms, written as POSCAR:
```
Rb4V5CdClO15
1.0
9.287 0.000 0.000
0.000 9.287 0.000
0.000 0.000 5.786
Rb V Cd Cl O
4 5 1 1 15
Cartesian
1.530 6.282 0.000
3.004 1.530 0.000
6.282 7.757 0.000
7.757 3.004 0.000
1.325 3.551 3.027
3.551 7.962 3.027
4.643 4.643 3.187
5.736 1.325 3.027
7.962 5.736 3.027
0.000 0.000 3.192
0.000 0.000 0.613
0.000 4.643 3.669
1.043 1.975 3.613
1.328 3.578 1.358
1.975 8.244 3.613
2.881 4.140 3.690
3.578 7.958 1.358
4.140 6.406 3.690
4.643 0.000 3.669
4.643 4.643 1.564
5.147 2.881 3.690
5.709 1.328 1.358
6.406 5.147 3.690
7.312 1.043 3.613
7.958 5.709 1.358
8.244 7.312 3.613
```

Computed properties:
Space-group type: No. 75
Raw total energy, eV/atom: -6.456
Density, Mg/m³: 3.28

No. 3
Compound: La2CoRuO6
Source: Materials Project
Functional: PBE with a Hubbard U
Structure: relaxed

Cell and atoms, written as POSCAR:
```
La2CoRuO6
1.0
5.591 0.000 0.000
-0.028 5.770 0.000
-0.074 -0.018 7.901
La Co Ru O
4 2 2 12
Cartesian
0.057 0.339 1.962
2.682 3.235 1.980
2.806 2.517 5.922
5.431 5.413 5.939
-0.051 2.876 3.951
2.795 0.000 0.000
-0.014 2.885 0.000
2.758 -0.009 3.951
0.446 2.991 5.960
1.073 4.571 0.399
1.093 4.628 3.593
1.631 1.745 0.350
1.658 1.670 3.532
2.222 0.106 5.901
3.266 5.647 2.001
3.831 4.082 4.370
3.857 4.007 7.551
4.396 1.124 4.308
4.416 1.182 7.503
5.042 2.762 1.941
```

Computed properties:
Space-group type: No. 2
Raw total energy, eV/atom: -7.668
Density, Mg/m³: 6.95

No. 4
Compound: Li9Mn2Co5O16
Source: Materials Project
Functional: PBE with a Hubbard U
Structure: relaxed

Cell and atoms, written as POSCAR:
```
Li9Mn2Co5O16
1.0
5.150 0.000 0.000
0.000 2.875 0.000
-1.755 0.000 19.531
Li Mn Co O
9 2 5 16
Cartesian
0.000 0.000 0.000
-0.830 1.438 9.601
0.801 1.438 4.898
-0.040 0.000 14.710
0.813 1.438 19.528
1.864 0.000 9.410
2.580 1.438 7.271
3.305 0.000 4.964
2.545 1.438 14.695
-0.003 0.000 7.297
3.425 0.000 12.163
-0.892 1.438 17.060
1.700 0.000 2.434
0.856 1.438 12.155
1.683 0.000 17.055
4.271 1.438 2.427
-1.014 1.438 13.275
-0.037 0.000 3.527
-0.061 0.000 11.158
0.858 1.438 1.284
0.794 1.438 8.394
-0.043 0.000 18.165
1.544 0.000 6.165
0.841 1.438 15.879
2.549 1.438 3.559
1.758 0.000 13.207
3.424 0.000 1.283
2.716 1.438 11.073
2.526 1.438 18.166
3.588 0.000 8.442
3.419 0.000 15.900
4.367 1.438 6.243
```

Computed properties:
Polymorph energy (0 for the lowest one), meV per atom: 60
Space-group type: No. 6
Density, Mg/m³: 4.15

No. 5
Compound: MnH8C4N2O6
Source: Materials Project
Functional: PBE with a Hubbard U
Structure: relaxed

Cell and atoms, written as POSCAR:
```
MnH8C4N2O6
1.0
7.135 -4.356 0.000
7.135 4.356 0.000
-4.440 0.000 7.472
Mn H C N O
2 16 8 4 12
Cartesian
3.568 2.178 0.000
1.348 -2.178 3.736
3.805 3.467 5.604
3.242 2.290 3.635
6.025 2.804 1.868
2.341 0.527 2.415
0.121 -0.527 6.151
3.375 0.722 4.498
8.809 2.290 0.101
4.236 0.722 6.709
5.595 -0.722 0.762
1.022 -2.290 7.371
6.456 -0.722 2.974
9.710 0.527 1.320
7.490 -0.527 5.056
3.805 -2.804 5.604
6.589 -2.290 3.837
6.025 -3.467 1.868
-0.018 0.123 5.263
3.805 2.371 5.604
2.202 -0.123 1.528
6.025 1.693 1.868
3.805 -1.693 5.604
7.629 0.123 5.944
6.025 -2.371 1.868
9.849 -0.123 2.208
3.458 1.754 4.498
4.153 1.754 6.710
5.678 -1.754 0.762
6.373 -1.754 2.974
-0.402 1.318 5.469
2.419 0.367 0.380
0.199 -0.367 4.115
5.219 1.101 1.085
1.818 -1.318 1.733
6.831 1.101 2.651
2.999 -1.101 4.820
8.012 1.318 5.739
4.611 -1.101 6.387
9.632 0.367 3.356
7.412 -0.367 7.092
10.232 -1.318 2.003
```

Computed properties:
Space-group type: No. 15
Raw total energy, eV/atom: -6.404
Density, Mg/m³: 1.68

No. 6
Compound: MgAl2Co2O6
Source: Materials Project
Functional: PBE with a Hubbard U
Structure: relaxed

Cell and atoms, written as POSCAR:
```
MgAl2Co2O6
1.0
4.929 0.000 0.000
-2.411 4.725 0.000
-2.347 -1.426 4.998
Mg Al Co O
1 2 2 6
Cartesian
0.000 0.000 0.000
0.474 0.378 3.079
2.762 1.410 0.998
-2.112 1.856 4.119
0.323 3.216 1.836
-0.900 0.038 1.974
-0.502 1.961 0.474
1.936 -0.021 0.319
-0.967 3.614 3.288
-0.204 1.215 4.581
1.651 1.682 2.447
```

Computed properties:
Polymorph energy (0 for the lowest one), meV per atom: 71
Space-group type: No. 1
Density, Mg/m³: 4.17

No. 7
Compound: Li2VOF4
Source: Materials Project
Functional: PBE with a Hubbard U
Structure: relaxed

Cell and atoms, written as POSCAR:
```
Li2VOF4
1.0
2.669 4.518 -0.842
1.348 -2.494 6.846
8.620 -6.605 -0.081
V F Li O
4 16 8 4
Cartesian
6.927 -0.747 0.235
1.998 -0.541 3.601
7.600 -1.993 3.659
1.324 0.706 0.179
10.735 -5.212 4.018
8.509 -3.694 3.026
7.835 -2.447 -0.398
6.128 0.761 1.121
4.075 2.308 2.055
10.061 -3.965 0.597
6.549 -5.539 4.758
4.594 -1.995 6.408
6.802 -0.485 4.544
4.751 1.062 5.475
5.100 -1.526 0.492
3.919 -0.748 2.983
5.772 -2.772 3.915
8.744 -6.849 3.826
5.875 -4.292 1.333
8.069 -5.602 0.400
11.202 -5.214 5.937
8.397 -5.072 4.522
5.524 -3.707 5.620
4.896 -0.741 4.827
10.528 -3.967 2.515
7.724 -3.825 1.100
4.222 0.506 1.404
4.850 -2.460 2.197
7.913 -2.870 5.446
2.496 -1.001 5.176
1.819 0.243 1.754
7.240 -1.622 2.024
```

Computed properties:
Polymorph energy (0 for the lowest one), meV per atom: 5
Density, Mg/m³: 2.76

No. 8
Compound: Sm2TeMo6O44
Source: Materials Project
Functional: PBE with a Hubbard U
Structure: relaxed

Cell and atoms, written as POSCAR:
```
Sm2TeMo6O44
1.0
9.143 0.000 0.000
3.635 9.373 0.000
0.792 1.586 10.918
Sm Te Mo O
2 1 6 44
Cartesian
3.324 2.949 1.789
10.246 8.010 9.129
0.000 0.000 0.000
1.755 1.977 7.644
4.681 6.697 1.849
6.403 8.569 9.314
7.167 2.391 1.604
8.889 4.263 9.069
11.815 8.982 3.274
10.362 3.001 3.611
3.208 7.959 7.307
2.976 7.153 2.606
2.952 6.756 7.509
3.782 8.987 4.595
1.435 2.538 0.842
4.226 8.894 10.525
4.530 8.877 1.647
2.400 1.443 9.874
3.872 5.431 5.264
5.467 9.361 7.886
3.766 4.257 4.909
4.145 4.971 1.547
3.323 2.214 6.957
4.621 4.206 10.188
6.847 9.971 4.166
3.228 0.654 2.828
5.750 6.639 3.179
5.981 6.932 9.022
5.848 6.887 0.331
4.781 3.167 9.543
7.014 8.844 4.686
5.427 2.228 2.083
8.143 8.732 8.835
6.556 2.116 6.232
8.789 7.793 1.375
7.722 4.072 10.587
7.589 4.028 1.896
7.821 4.321 7.739
10.342 10.306 8.090
6.723 0.988 6.752
8.949 6.753 0.730
10.247 8.745 3.961
9.425 5.989 9.371
9.805 6.703 6.009
8.103 1.599 3.032
9.698 5.528 5.654
11.170 9.517 1.044
9.040 2.083 9.271
9.344 2.066 0.393
12.135 8.422 10.075
9.788 1.973 6.322
10.619 4.204 3.409
10.594 3.807 8.312
```

Computed properties:
Space-group type: No. 2
Raw total energy, eV/atom: -6.083
Density, Mg/m³: 3.03